# 1
# Li2NbP5O15 PBE-GGA relaxed
# E: -329.2 eV for the cell shown
# ΔE_f: -2594.6 meV per atom
data_Li2NbP5O15
_space_group_name_H-M_alt 'P 1 21/m 1'
_space_group_IT_number 11
_space_group_name_Hall '-P 2yb'
_cell_length_a 5.365
_cell_length_b 13.565
_cell_length_c 8.892
_cell_angle_alpha 90.00
_cell_angle_beta 101.97
_cell_angle_gamma 90.00
loop_
_atom_site_label
_atom_site_type_symbol
_atom_site_fract_x
_atom_site_fract_y
_atom_site_fract_z
Li1 Li 0.057 0.122 0.087
Nb1 Nb 0.500 0.000 0.500
P1 P 0.004 0.142 0.515
P2 P 0.337 0.078 0.819
P3 P 0.458 0.750 0.984
O1 O 0.063 0.250 0.461
O2 O 0.126 0.074 0.417
O3 O 0.150 0.143 0.690
O4 O 0.186 0.038 0.929
O5 O 0.197 0.750 0.883
O6 O 0.278 0.632 0.490
O7 O 0.300 0.250 0.076
O8 O 0.459 0.658 0.103
O9 O 0.485 0.008 0.737

***

# 2
# ScNb3Si3S3O24 PBE-GGA relaxed
# E: -779.6 eV for the cell shown
# ΔE_f: -2714.0 meV per atom
data_ScNb3Si3S3O24
_space_group_name_H-M_alt 'P 1'
_space_group_IT_number 1
_space_group_name_Hall 'P 1'
_cell_length_a 8.928
_cell_length_b 8.938
_cell_length_c 22.978
_cell_angle_alpha 90.18
_cell_angle_beta 90.42
_cell_angle_gamma 119.95
loop_
_atom_site_label
_atom_site_type_symbol
_atom_site_fract_x
_atom_site_fract_y
_atom_site_fract_z
Sc1 Sc 0.000 0.000 0.000
Sc2 Sc 0.017 0.004 0.491
Sc3 Sc 0.680 0.328 0.825
Nb1 Nb 0.011 0.006 0.212
Nb2 Nb 0.326 0.663 0.662
Nb3 Nb 0.341 0.671 0.875
Nb4 Nb 0.344 0.668 0.379
Nb5 Nb 0.359 0.670 0.163
Nb6 Nb 0.658 0.334 0.328
Nb7 Nb 0.666 0.325 0.047
Nb8 Nb 0.687 0.341 0.539
Nb9 Nb 0.994 0.995 0.711
Si1 Si 0.002 0.274 0.601
Si2 Si 0.052 0.665 0.769
Si3 Si 0.281 0.278 0.103
Si4 Si 0.338 0.941 0.270
Si5 Si 0.385 0.329 0.436
Si6 Si 0.618 0.943 0.769
Si7 Si 0.628 0.668 0.271
Si8 Si 0.726 0.994 0.102
Si9 Si 0.958 0.614 0.433
S1 S 0.006 0.707 0.103
S2 S 0.053 0.378 0.270
S3 S 0.293 0.997 0.603
S4 S 0.335 0.376 0.769
S5 S 0.386 0.041 0.936
S6 S 0.669 0.609 0.935
S7 S 0.670 0.044 0.436
S8 S 0.716 0.706 0.603
S9 S 0.960 0.330 0.936
O1 O 0.033 0.188 0.546
O2 O 0.035 0.809 0.050
O3 O 0.038 0.202 0.263
O4 O 0.049 0.842 0.755
O5 O 0.128 0.479 0.217
O6 O 0.137 0.488 0.927
O7 O 0.145 0.625 0.424
O8 O 0.149 0.673 0.112
O9 O 0.150 0.637 0.713
O10 O 0.162 0.454 0.322
O11 O 0.169 0.467 0.617
O12 O 0.171 0.967 0.257
O13 O 0.177 0.192 0.044
O14 O 0.178 0.202 0.761
O15 O 0.181 0.691 0.826
O16 O 0.185 0.956 0.551
O17 O 0.199 0.156 0.160
O18 O 0.201 0.161 0.442
O19 O 0.211 0.007 0.945
O20 O 0.212 0.020 0.655
O21 O 0.302 0.454 0.822
O22 O 0.305 0.466 0.116
O23 O 0.307 0.821 0.327
O24 O 0.316 0.840 0.613
O25 O 0.356 0.842 0.213
O26 O 0.361 0.481 0.717
O27 O 0.376 0.865 0.929
O28 O 0.378 0.505 0.425
O29 O 0.465 0.144 0.885
O30 O 0.468 0.147 0.596
O31 O 0.483 0.305 0.379
O32 O 0.483 0.308 0.090
O33 O 0.486 0.356 0.778
O34 O 0.498 0.122 0.989
O35 O 0.503 0.839 0.713
O36 O 0.505 0.632 0.212
O37 O 0.507 0.623 0.928
O38 O 0.508 0.872 0.431
O39 O 0.511 0.128 0.281
O40 O 0.513 0.355 0.493
O41 O 0.528 0.835 0.113
O42 O 0.529 0.816 0.827
O43 O 0.531 0.693 0.326
O44 O 0.540 0.678 0.615
O45 O 0.636 0.126 0.780
O46 O 0.642 0.125 0.489
O47 O 0.642 0.500 0.988
O48 O 0.647 0.496 0.278
O49 O 0.688 0.525 0.884
O50 O 0.693 0.146 0.384
O51 O 0.699 0.531 0.598
O52 O 0.701 0.167 0.089
O53 O 0.788 0.809 0.552
O54 O 0.798 0.956 0.044
O55 O 0.809 0.957 0.759
O56 O 0.817 0.017 0.444
O57 O 0.817 0.833 0.257
O58 O 0.819 0.781 0.943
O59 O 0.828 0.787 0.657
O60 O 0.831 0.298 0.593
O61 O 0.837 0.504 0.378
O62 O 0.845 0.026 0.159
O63 O 0.845 0.529 0.092
O64 O 0.853 0.305 0.884
O65 O 0.867 0.503 0.779
O66 O 0.868 0.487 0.493
O67 O 0.877 0.349 0.278
O68 O 0.882 0.361 0.988
O69 O 0.966 0.790 0.447
O70 O 0.968 0.779 0.154
O71 O 0.980 0.155 0.660
O72 O 0.982 0.180 0.942

***

# 3
# Pr3Er PBE-GGA relaxed
# E: -37.7 eV for the cell shown
# Energy above the lowest structure with this stoichiometry: 12 meV per atom
# ΔE_f: 20.0 meV per atom
data_Pr3Er
_space_group_name_H-M_alt 'I 4/m m m'
_space_group_IT_number 139
_space_group_name_Hall '-I 4 2'
_cell_length_a 5.183
_cell_length_b 5.183
_cell_length_c 10.447
_cell_angle_alpha 90.00
_cell_angle_beta 90.00
_cell_angle_gamma 90.00
loop_
_atom_site_label
_atom_site_type_symbol
_atom_site_fract_x
_atom_site_fract_y
_atom_site_fract_z
Pr1 Pr 0.000 0.000 0.000
Pr2 Pr 0.000 0.500 0.250
Er1 Er 0.000 0.000 0.500

***

# 4
# Mg9Si5 PBE-GGA relaxed
# E: -257.7 eV for the cell shown
# Energy above the lowest structure with this stoichiometry: 7 meV per atom
# ΔE_f: -76.5 meV per atom
data_Mg9Si5
_space_group_name_H-M_alt 'R 3 2'
_space_group_IT_number 155
_space_group_name_Hall 'R 3 2"'
_cell_length_a 7.1808
_cell_length_b 7.1808
_cell_length_c 36.8497
_cell_angle_alpha 90.00
_cell_angle_beta 90.00
_cell_angle_gamma 120.00
loop_
_atom_site_label
_atom_site_type_symbol
_atom_site_fract_x
_atom_site_fract_y
_atom_site_fract_z
Mg1 Mg 0.0000 0.2520 0.0000
Mg2 Mg 0.0000 0.7439 0.5000
Mg3 Mg 0.0182 0.7474 0.3887
Mg4 Mg 0.0208 0.4111 0.5539
Si1 Si 0.0000 0.0000 0.0578
Si2 Si 0.0000 0.0000 0.1694
Si3 Si 0.0000 0.0000 0.2644
Si4 Si 0.0000 0.0000 0.3323
Si5 Si 0.0000 0.0000 0.4442

***

# 5
# MgTi3 PBE-GGA relaxed
# E: -49.4 eV for the cell shown
# ΔE_f: 145.7 meV per atom
data_MgTi3
_space_group_name_H-M_alt 'I 4/m m m'
_space_group_IT_number 139
_space_group_name_Hall '-I 4 2'
_cell_length_a 4.126
_cell_length_b 4.126
_cell_length_c 8.452
_cell_angle_alpha 90.00
_cell_angle_beta 90.00
_cell_angle_gamma 90.00
loop_
_atom_site_label
_atom_site_type_symbol
_atom_site_fract_x
_atom_site_fract_y
_atom_site_fract_z
Mg1 Mg 0.000 0.000 0.000
Ti1 Ti 0.000 0.000 0.500
Ti2 Ti 0.000 0.500 0.250

***

# 6
# SrMg6C PBE-GGA relaxed
# E: -34.5 eV for the cell shown
# Energy above the lowest structure with this stoichiometry: 90 meV per atom
# ΔE_f: 406.6 meV per atom
data_SrMg6C
_space_group_name_H-M_alt 'A m m 2'
_space_group_IT_number 38
_space_group_name_Hall 'A 2 -2'
_cell_length_a 4.527
_cell_length_b 5.802
_cell_length_c 14.354
_cell_angle_alpha 90.00
_cell_angle_beta 90.00
_cell_angle_gamma 90.00
loop_
_atom_site_label
_atom_site_type_symbol
_atom_site_fract_x
_atom_site_fract_y
_atom_site_fract_z
Sr1 Sr 0.000 0.000 0.000
Mg1 Mg 0.000 0.248 0.747
Mg2 Mg 0.500 0.000 0.162
Mg3 Mg 0.500 0.000 0.610
Mg4 Mg 0.500 0.230 0.380
C1 C 0.000 0.000 0.370

***

# 7
# NaAl3 PBE-GGA relaxed
# E: -23.3 eV for the cell shown
# ΔE_f: 223.4 meV per atom
data_NaAl3
_space_group_name_H-M_alt 'I 4/m m m'
_space_group_IT_number 139
_space_group_name_Hall '-I 4 2'
_cell_length_a 4.812
_cell_length_b 4.812
_cell_length_c 6.710
_cell_angle_alpha 90.00
_cell_angle_beta 90.00
_cell_angle_gamma 90.00
loop_
_atom_site_label
_atom_site_type_symbol
_atom_site_fract_x
_atom_site_fract_y
_atom_site_fract_z
Na1 Na 0.000 0.000 0.000
Al1 Al 0.000 0.000 0.500
Al2 Al 0.000 0.500 0.250

***

# 8
# B3Ru2 PBE-GGA relaxed
# E: -80.5 eV for the cell shown
# ΔE_f: -331.7 meV per atom
data_B3Ru2
_space_group_name_H-M_alt 'P 63/m m c'
_space_group_IT_number 194
_space_group_name_Hall '-P 6c 2c'
_cell_length_a 2.9255
_cell_length_b 2.9255
_cell_length_c 12.8364
_cell_angle_alpha 90.00
_cell_angle_beta 90.00
_cell_angle_gamma 120.00
loop_
_atom_site_label
_atom_site_type_symbol
_atom_site_fract_x
_atom_site_fract_y
_atom_site_fract_z
B1 B 0.3333 0.6667 0.0306
B2 B 0.3333 0.6667 0.2500
Ru1 Ru 0.3333 0.6667 0.6399